Record 1
## Li3SbS4 (PBE)

Data for crystalline Li3SbS4 at its relaxed geometry.

Cell: 7.2025 9.2496 10.0661 Å, 90.00 90.00 90.00°
Sites, in units of the cell vectors:
Li 0.0121 0.2500 0.0958
Li 0.2361 0.0483 0.7452
Li 0.2361 0.4517 0.7452
Li 0.2639 0.5483 0.2452
Li 0.2639 0.9517 0.2452
Li 0.4879 0.7500 0.5958
Li 0.5121 0.2500 0.4042
Li 0.7361 0.0483 0.7548
Li 0.7361 0.4517 0.7548
Li 0.7639 0.5483 0.2548
Li 0.7639 0.9517 0.2548
Li 0.9879 0.7500 0.9042
Sb 0.0746 0.2500 0.4935
Sb 0.4254 0.7500 0.9935
Sb 0.5746 0.2500 0.0065
Sb 0.9254 0.7500 0.5065
S 0.0183 0.7500 0.2798
S 0.1477 0.7500 0.6807
S 0.2153 0.5529 0.9802
S 0.2153 0.9471 0.9802
S 0.2847 0.0529 0.4802
S 0.2847 0.4471 0.4802
S 0.3523 0.2500 0.1807
S 0.4817 0.2500 0.7798
S 0.5183 0.7500 0.2202
S 0.6477 0.7500 0.8193
S 0.7153 0.5529 0.5198
S 0.7153 0.9471 0.5198
S 0.7847 0.0529 0.0198
S 0.7847 0.4471 0.0198
S 0.8523 0.2500 0.3193
S 0.9817 0.2500 0.7202

The value obtained for the energy of formation is -1.024 eV per atom. The calculation puts the raw total energy at -4.07 eV/atom. The space group is Pnma (62). The polymorph energy (0 for the lowest one) comes out at 77 meV per atom. The value obtained for the calculated volume is 670.6 Å³/cell.


Record 2
## Li3SbS3 (PBE)

Data for crystalline Li3SbS3 at its relaxed geometry.

Cell: 7.6939 7.6939 7.6939 Å, 55.27 55.27 55.27°
Sites, in units of the cell vectors:
Li 0.1338 0.8131 0.4080
Li 0.1869 0.5920 0.8662
Li 0.4080 0.1338 0.8131
Li 0.5920 0.8662 0.1869
Li 0.8131 0.4080 0.1338
Li 0.8662 0.1869 0.5920
Sb 0.3185 0.3185 0.3185
Sb 0.6815 0.6815 0.6815
S 0.0665 0.4641 0.7310
S 0.2690 0.9335 0.5359
S 0.4641 0.7310 0.0665
S 0.5359 0.2690 0.9335
S 0.7310 0.0665 0.4641
S 0.9335 0.5359 0.2690

The value obtained for the energy of formation is -1.133 eV per atom. The calculation puts the raw total energy at -4.10 eV/atom. The space group is R-3 (148). The polymorph energy (0 for the lowest one) comes out at 38 meV per atom. The value obtained for the calculated volume is 286.6 Å³/cell.


Question: Which formula does entry 1 have?
Answer: Li3SbS4


Question: Among the records above, which one has the lowest raw total energy?
Answer: Li3SbS3